! MnN | the Materials Project | PBE | optimized geometry; values from VASP
! crystal system = monoclinic
! uncorrected energy = -35.10 eV per cell
! MP2020-corrected energy = -0.329 hartree per atom
! SG = Pm
! formation energy from the elements = -0.207 eV/atom
&SYSTEM
  ibrav = 0, nat = 4, ntyp = 2
/
ATOMIC_SPECIES
Mn 54.94 Mn.upf
N 14.01 N.upf
CELL_PARAMETERS angstrom
2.9895 0.0000 0.0000
0.0000 2.7087 0.0000
-0.5559 0.0000 4.8550
ATOMIC_POSITIONS crystal
Mn 0.0000 0.0000 0.0000
Mn 0.4111 0.0000 0.5586
N 0.4600 0.5000 0.8476
N 0.8796 0.0000 0.3737